No. 1
Computed, not measured: a relaxed structure of LuSiPd2 at the GGA-PBE level of DFT.

The calculation puts the total energy at -97.1 eV per cell. The value obtained for the volume is 276 Å³/cell.

a = 5.472 Å, b = 6.993 Å, c = 7.213 Å
α = 90.00°, β = 90.00°, γ = 90.00°
Fractional coordinates of all 16 atoms:
Lu1 0.357 0.750 0.027
Lu2 0.143 0.750 0.527
Lu3 0.643 0.250 0.973
Lu4 0.857 0.250 0.473
Si1 0.642 0.750 0.379
Si2 0.858 0.750 0.879
Si3 0.358 0.250 0.621
Si4 0.142 0.250 0.121
Pd1 0.906 0.551 0.179
Pd2 0.594 0.949 0.679
Pd3 0.094 0.051 0.821
Pd4 0.406 0.449 0.321
Pd5 0.094 0.449 0.821
Pd6 0.406 0.051 0.321
Pd7 0.906 0.949 0.179
Pd8 0.594 0.551 0.679

No. 2
Computed, not measured: a relaxed structure of LuSnPd2 at the GGA-PBE level of DFT.

The calculation puts the total energy at -22.5 eV per cell. The value obtained for the volume is 76 Å³/cell.

a = 4.752 Å, b = 4.752 Å, c = 4.752 Å
α = 60.00°, β = 60.00°, γ = 60.00°
Fractional coordinates of all 4 atoms:
Lu1 0.500 0.500 0.500
Sn1 0.000 0.000 0.000
Pd1 0.250 0.250 0.250
Pd2 0.750 0.750 0.750

No. 3
Computed, not measured: a relaxed structure of LuSnPd at the GGA-PBE level of DFT.

The calculation puts the total energy at -49.3 eV per cell. The value obtained for the volume is 191 Å³/cell.

a = 7.618 Å, b = 7.618 Å, c = 3.792 Å
α = 90.00°, β = 90.00°, γ = 120.00°
Fractional coordinates of all 9 atoms:
Lu1 0.401 0.401 0.500
Lu2 0.599 0.000 0.500
Lu3 0.000 0.599 0.500
Sn1 0.735 0.735 0.000
Sn2 0.265 0.000 0.000
Sn3 0.000 0.265 0.000
Pd1 0.667 0.333 0.000
Pd2 0.333 0.667 0.000
Pd3 0.000 0.000 0.500

No. 4
Computed, not measured: a relaxed structure of TmLuPd2 at the GGA-PBE level of DFT.

The calculation puts the total energy at -23.2 eV per cell. The value obtained for the volume is 82 Å³/cell.

a = 4.881 Å, b = 4.881 Å, c = 4.881 Å
α = 60.00°, β = 60.00°, γ = 60.00°
Fractional coordinates of all 4 atoms:
Tm1 0.000 0.000 0.000
Lu1 0.500 0.500 0.500
Pd1 0.250 0.250 0.250
Pd2 0.750 0.750 0.750

No. 5
Computed, not measured: a relaxed structure of Lu2ZnPd at the GGA-PBE level of DFT.

The calculation puts the total energy at -18.1 eV per cell. The value obtained for the volume is 82 Å³/cell.

a = 4.881 Å, b = 4.881 Å, c = 4.881 Å
α = 60.00°, β = 60.00°, γ = 60.00°
Fractional coordinates of all 4 atoms:
Lu1 0.750 0.750 0.750
Lu2 0.250 0.250 0.250
Zn1 0.500 0.500 0.500
Pd1 0.000 0.000 0.000

No. 6
Computed, not measured: a relaxed structure of PmLuZn2 at the GGA-PBE level of DFT.

The calculation puts the total energy at -13.1 eV per cell. The value obtained for the volume is 93 Å³/cell.

a = 5.080 Å, b = 5.080 Å, c = 5.080 Å
α = 60.00°, β = 60.00°, γ = 60.00°
Fractional coordinates of all 4 atoms:
Pm1 0.000 0.000 0.000
Lu1 0.500 0.500 0.500
Zn1 0.250 0.250 0.250
Zn2 0.750 0.750 0.750